First-principles (PBE) data for a relaxed NbSb3P6O24 crystal, as listed in the Materials Project.

Calculated values
- energy relative to the elements (eV/atom) = -2.4431
- total magnetic moment (μB per formula unit) = 0.01

```
NbSb3P6O24
1.0
4.420 2.552 7.511
-4.420 2.552 7.511
0.000 -5.104 7.511
Nb Sb P O
1 3 6 24
direct
0.000 0.000 0.000
0.214 0.214 0.214
0.501 0.501 0.501
0.715 0.715 0.715
0.109 0.396 0.819
0.321 0.898 0.606
0.396 0.819 0.109
0.606 0.321 0.898
0.819 0.109 0.396
0.898 0.606 0.321
0.074 0.226 0.859
0.077 0.438 0.295
0.136 0.375 0.985
0.146 0.925 0.780
0.226 0.859 0.074
0.278 0.412 0.642
0.295 0.077 0.438
0.339 0.731 0.585
0.375 0.985 0.136
0.412 0.642 0.278
0.438 0.295 0.077
0.487 0.874 0.633
0.575 0.796 0.939
0.585 0.339 0.731
0.633 0.487 0.874
0.642 0.278 0.412
0.731 0.585 0.339
0.780 0.146 0.925
0.796 0.939 0.575
0.859 0.074 0.226
0.874 0.633 0.487
0.925 0.780 0.146
0.939 0.575 0.796
0.985 0.136 0.375
```

First-principles (PBE) data for a relaxed Nb3SbP6O24 crystal, as listed in the Materials Project.

Calculated values
- energy relative to the elements (eV/atom) = -2.7578
- offset from the most stable computed form (kcal/mol of atoms) = 0.00
- total magnetic moment (μB per formula unit) = 0.00

```
Nb3SbP6O24
1.0
8.934 0.000 0.000
0.000 9.005 0.000
-8.892 0.000 12.510
Nb Sb P O
6 2 12 48
direct
0.000 0.215 0.000
0.000 0.785 0.500
0.231 0.215 0.733
0.231 0.785 0.233
0.503 0.285 0.501
0.503 0.715 0.001
0.738 0.285 0.239
0.738 0.715 0.739
0.133 0.133 0.482
0.133 0.867 0.982
0.321 0.366 0.970
0.321 0.634 0.470
0.392 0.139 0.265
0.392 0.861 0.765
0.628 0.348 0.766
0.628 0.652 0.266
0.833 0.005 0.612
0.833 0.995 0.112
0.901 0.499 0.612
0.901 0.501 0.112
0.005 0.103 0.686
0.005 0.897 0.186
0.064 0.389 0.658
0.064 0.611 0.158
0.076 0.034 0.958
0.076 0.966 0.458
0.149 0.344 0.971
0.149 0.656 0.471
0.196 0.161 0.597
0.196 0.839 0.097
0.220 0.187 0.154
0.220 0.813 0.654
0.281 0.283 0.869
0.281 0.717 0.369
0.304 0.155 0.479
0.304 0.845 0.979
0.342 0.465 0.456
0.342 0.535 0.956
0.360 0.020 0.792
0.360 0.980 0.292
0.411 0.248 0.351
0.411 0.752 0.851
0.456 0.313 0.766
0.456 0.687 0.266
0.492 0.304 0.069
0.492 0.696 0.569
0.565 0.139 0.269
0.565 0.861 0.769
0.585 0.313 0.655
0.585 0.687 0.155
0.667 0.112 0.543
0.667 0.888 0.043
0.681 0.492 0.299
0.681 0.508 0.799
0.715 0.416 0.535
0.715 0.584 0.035
0.783 0.240 0.850
0.783 0.760 0.350
0.802 0.090 0.181
0.802 0.910 0.681
0.858 0.084 0.035
0.858 0.916 0.535
0.909 0.422 0.201
0.909 0.578 0.701
0.922 0.390 0.041
0.922 0.610 0.541
0.981 0.238 0.406
0.981 0.762 0.906
```

First-principles (PBE) data for a relaxed Nb3SbP6O24 crystal, as listed in the Materials Project.

Calculated values
- energy relative to the elements (eV/atom) = -2.7530
- offset from the most stable computed form (kcal/mol of atoms) = 0.11
- total magnetic moment (μB per formula unit) = 0.00

```
Nb3SbP6O24
1.0
4.463 2.577 7.536
-4.463 2.577 7.536
0.000 -5.153 7.536
Nb Sb P O
3 1 6 24
direct
0.000 0.000 0.000
0.217 0.217 0.217
0.716 0.716 0.716
0.498 0.498 0.498
0.100 0.828 0.392
0.320 0.607 0.898
0.392 0.100 0.828
0.607 0.898 0.320
0.828 0.392 0.100
0.898 0.320 0.607
0.055 0.874 0.229
0.074 0.295 0.434
0.137 0.993 0.360
0.147 0.772 0.945
0.229 0.055 0.874
0.259 0.651 0.410
0.295 0.434 0.074
0.325 0.590 0.741
0.360 0.137 0.993
0.410 0.259 0.651
0.434 0.074 0.295
0.493 0.634 0.861
0.566 0.925 0.806
0.590 0.741 0.325
0.634 0.861 0.493
0.651 0.410 0.259
0.741 0.325 0.590
0.772 0.945 0.147
0.806 0.566 0.925
0.861 0.493 0.634
0.874 0.229 0.055
0.925 0.806 0.566
0.945 0.147 0.772
0.993 0.360 0.137
```

First-principles (PBE) data for a relaxed ScNb3P6O24 crystal, as listed in the Materials Project.

Calculated values
- energy relative to the elements (eV/atom) = -2.9582
- total magnetic moment (μB per formula unit) = 0.00

```
ScNb3P6O24
1.0
8.829 0.000 0.000
-4.414 7.646 0.000
0.000 0.000 22.774
Sc Nb P O
3 9 18 72
direct
0.000 0.000 0.000
0.000 0.000 0.499
0.333 0.667 0.167
0.000 0.000 0.284
0.000 0.000 0.788
0.333 0.667 0.450
0.333 0.667 0.666
0.333 0.667 0.957
0.667 0.333 0.117
0.667 0.333 0.331
0.667 0.333 0.617
0.667 0.333 0.834
0.003 0.715 0.893
0.048 0.380 0.061
0.051 0.668 0.559
0.285 0.002 0.393
0.285 0.288 0.893
0.332 0.383 0.559
0.332 0.952 0.061
0.383 0.051 0.726
0.383 0.334 0.226
0.617 0.949 0.559
0.620 0.668 0.061
0.666 0.050 0.226
0.668 0.617 0.726
0.712 0.997 0.893
0.717 0.715 0.393
0.949 0.332 0.726
0.950 0.617 0.226
0.998 0.283 0.393
0.021 0.201 0.049
0.028 0.824 0.553
0.028 0.830 0.837
0.031 0.200 0.338
0.129 0.640 0.220
0.133 0.493 0.716
0.135 0.501 0.005
0.135 0.633 0.505
0.158 0.465 0.114
0.163 0.470 0.402
0.163 0.692 0.900
0.164 0.687 0.615
0.169 0.969 0.338
0.170 0.198 0.837
0.176 0.204 0.553
0.180 0.979 0.049
0.200 0.028 0.736
0.201 0.165 0.237
0.210 0.035 0.448
0.212 0.174 0.946
0.307 0.837 0.402
0.307 0.842 0.114
0.308 0.471 0.900
0.313 0.477 0.615
0.360 0.490 0.220
0.360 0.867 0.716
0.365 0.865 0.005
0.367 0.502 0.505
0.467 0.299 0.172
0.468 0.165 0.671
0.470 0.312 0.879
0.471 0.157 0.380
0.496 0.353 0.281
0.497 0.134 0.780
0.498 0.865 0.505
0.499 0.635 0.005
0.501 0.369 0.571
0.503 0.135 0.069
0.507 0.640 0.716
0.510 0.871 0.220
0.523 0.836 0.615
0.529 0.837 0.900
0.530 0.693 0.402
0.535 0.693 0.114
0.631 0.132 0.571
0.633 0.497 0.069
0.637 0.503 0.780
0.647 0.143 0.281
0.686 0.529 0.380
0.688 0.158 0.879
0.697 0.532 0.671
0.701 0.169 0.172
0.796 0.972 0.553
0.799 0.820 0.049
0.800 0.831 0.338
0.802 0.972 0.837
0.825 0.790 0.448
0.826 0.037 0.946
0.828 0.800 0.736
0.831 0.533 0.172
0.835 0.036 0.237
0.835 0.303 0.671
0.842 0.530 0.879
0.843 0.314 0.380
0.857 0.504 0.281
0.865 0.367 0.069
0.866 0.363 0.780
0.868 0.499 0.571
0.963 0.788 0.946
0.964 0.799 0.237
0.965 0.175 0.448
0.972 0.172 0.736
```

First-principles (PBE) data for a relaxed TaNbSiP2O12 crystal, as listed in the Materials Project.

Calculated values
- energy relative to the elements (eV/atom) = -3.0474
- total magnetic moment (μB per formula unit) = 0.00

```
TaNbSiP2O12
1.0
8.839 0.000 0.000
4.416 7.659 0.000
0.016 -0.002 22.771
Ta Nb Si P O
6 6 6 12 72
direct
0.000 0.000 0.000
0.000 0.009 0.500
0.004 0.001 0.214
0.336 0.334 0.047
0.338 0.336 0.833
0.674 0.668 0.166
0.004 0.005 0.714
0.337 0.339 0.547
0.338 0.336 0.333
0.673 0.663 0.381
0.673 0.674 0.881
0.676 0.667 0.666
0.003 0.289 0.607
0.003 0.717 0.107
0.620 0.054 0.940
0.622 0.336 0.440
0.956 0.383 0.273
0.958 0.669 0.774
0.051 0.624 0.440
0.052 0.335 0.940
0.287 0.003 0.107
0.287 0.720 0.607
0.336 0.051 0.440
0.336 0.621 0.940
0.384 0.671 0.273
0.385 0.956 0.774
0.668 0.386 0.774
0.669 0.954 0.273
0.717 0.289 0.107
0.718 0.004 0.607
0.030 0.805 0.451
0.031 0.175 0.951
0.032 0.168 0.664
0.032 0.811 0.164
0.133 0.508 0.495
0.135 0.368 0.995
0.147 0.362 0.285
0.148 0.500 0.785
0.165 0.538 0.386
0.166 0.308 0.886
0.171 0.035 0.162
0.171 0.314 0.596
0.171 0.525 0.095
0.172 0.803 0.662
0.176 0.027 0.450
0.176 0.806 0.951
0.200 0.833 0.263
0.200 0.978 0.764
0.201 0.833 0.552
0.202 0.976 0.052
0.302 0.167 0.385
0.303 0.538 0.886
0.308 0.165 0.097
0.308 0.537 0.597
0.360 0.140 0.784
0.360 0.511 0.283
0.363 0.507 0.995
0.364 0.137 0.495
0.466 0.703 0.328
0.467 0.841 0.829
0.469 0.698 0.617
0.469 0.843 0.118
0.496 0.642 0.930
0.496 0.873 0.719
0.497 0.642 0.219
0.497 0.870 0.430
0.499 0.144 0.997
0.499 0.367 0.497
0.506 0.364 0.783
0.508 0.138 0.282
0.529 0.173 0.883
0.529 0.307 0.383
0.534 0.165 0.597
0.534 0.311 0.097
0.636 0.500 0.719
0.638 0.871 0.218
0.642 0.508 0.430
0.642 0.860 0.930
0.692 0.473 0.117
0.693 0.844 0.616
0.698 0.469 0.828
0.699 0.843 0.328
0.801 0.034 0.661
0.802 0.174 0.161
0.813 0.031 0.950
0.814 0.166 0.450
0.828 0.202 0.764
0.829 0.979 0.263
0.830 0.481 0.617
0.830 0.698 0.117
0.832 0.477 0.330
0.832 0.700 0.830
0.833 0.205 0.052
0.833 0.972 0.552
0.860 0.508 0.217
0.862 0.641 0.717
0.867 0.648 0.430
0.868 0.495 0.931
0.973 0.196 0.550
0.973 0.841 0.050
0.977 0.192 0.262
0.977 0.840 0.762
```

Copy entry 3 word for word.
First-principles (PBE) data for a relaxed Nb3SbP6O24 crystal, as listed in the Materials Project.

Calculated values
- energy relative to the elements (eV/atom) = -2.7530
- offset from the most stable computed form (kcal/mol of atoms) = 0.11
- total magnetic moment (μB per formula unit) = 0.00

```
Nb3SbP6O24
1.0
4.463 2.577 7.536
-4.463 2.577 7.536
0.000 -5.153 7.536
Nb Sb P O
3 1 6 24
direct
0.000 0.000 0.000
0.217 0.217 0.217
0.716 0.716 0.716
0.498 0.498 0.498
0.100 0.828 0.392
0.320 0.607 0.898
0.392 0.100 0.828
0.607 0.898 0.320
0.828 0.392 0.100
0.898 0.320 0.607
0.055 0.874 0.229
0.074 0.295 0.434
0.137 0.993 0.360
0.147 0.772 0.945
0.229 0.055 0.874
0.259 0.651 0.410
0.295 0.434 0.074
0.325 0.590 0.741
0.360 0.137 0.993
0.410 0.259 0.651
0.434 0.074 0.295
0.493 0.634 0.861
0.566 0.925 0.806
0.590 0.741 0.325
0.634 0.861 0.493
0.651 0.410 0.259
0.741 0.325 0.590
0.772 0.945 0.147
0.806 0.566 0.925
0.861 0.493 0.634
0.874 0.229 0.055
0.925 0.806 0.566
0.945 0.147 0.772
0.993 0.360 0.137
```